Run 1
# Li4Fe2Ni3Sb3O16

Li4Fe2Ni3Sb3O16 after structural relaxation (GGA+U, the Materials Project).

Lattice parameters (Å, degrees): 10.557 6.060 9.683 90.00 91.48 90.00
Space group Cm (No. 8)
Inequivalent atoms, fractional coordinates:
1 Li 0.000 0.000 0.000 x2
2 Li 0.007 0.000 0.518 x2
3 Li 0.161 0.500 0.105 x2
4 Li 0.323 0.000 0.623 x2
5 Fe 0.137 0.500 0.530 x2
6 Fe 0.311 0.000 0.995 x2
7 Ni 0.073 0.255 0.792 x4
8 Ni 0.159 0.000 0.290 x2
9 Sb 0.318 0.500 0.789 x2
10 Sb 0.405 0.248 0.289 x4
11 O 0.008 0.500 0.673 x2
12 O 0.064 0.247 0.407 x4
13 O 0.152 0.000 0.900 x2
14 O 0.155 0.500 0.896 x2
15 O 0.234 0.279 0.660 x4
16 O 0.253 0.226 0.167 x4
17 O 0.327 0.000 0.404 x2
18 O 0.334 0.500 0.404 x2
19 O 0.400 0.259 0.910 x4
20 O 0.478 0.000 0.171 x2
21 O 0.488 0.500 0.187 x2
22 O 0.490 0.500 0.703 x2

Computed properties:
**Calculated density**: 5.02 g cm⁻³
**Size of the total moment**: 15.0 μB/f.u.

***

Run 2
# Li4Fe2Ni3Sb3O16

Li4Fe2Ni3Sb3O16 after structural relaxation (GGA+U, the Materials Project).

Lattice parameters (Å, degrees): 6.050 6.080 9.694 91.46 90.51 119.72
Space group P1 (No. 1)
Inequivalent atoms, fractional coordinates:
1 Li 0.000 0.000 0.000 x1
2 Li 0.012 0.025 0.519 x1
3 Li 0.344 0.695 0.417 x1
4 Li 0.682 0.375 0.897 x1
5 Fe 0.368 0.745 0.988 x1
6 Fe 0.702 0.396 0.520 x1
7 Ni 0.190 0.874 0.727 x1
8 Ni 0.684 0.879 0.728 x1
9 Ni 0.848 0.700 0.230 x1
10 Sb 0.194 0.387 0.730 x1
11 Sb 0.356 0.209 0.230 x1
12 Sb 0.850 0.209 0.229 x1
13 O 0.023 0.046 0.332 x1
14 O 0.039 0.051 0.819 x1
15 O 0.053 0.550 0.861 x1
16 O 0.173 0.351 0.117 x1
17 O 0.190 0.889 0.115 x1
18 O 0.339 0.707 0.623 x1
19 O 0.356 0.230 0.608 x1
20 O 0.483 0.009 0.850 x1
21 O 0.500 0.563 0.860 x1
22 O 0.530 0.513 0.354 x1
23 O 0.535 0.067 0.350 x1
24 O 0.676 0.360 0.115 x1
25 O 0.697 0.892 0.111 x1
26 O 0.868 0.217 0.611 x1
27 O 0.876 0.720 0.614 x1
28 O 0.981 0.511 0.354 x1

Computed properties:
**Calculated density**: 5.03 g cm⁻³
**Size of the total moment**: 15.0 μB/f.u.

***

Q: Which of them is the most stable? A: run 2.

***

Run 1
# LiFe8O16

LiFe8O16 after structural relaxation (GGA+U, the Materials Project).

Lattice parameters (Å, degrees): 10.142 2.969 10.229 90.00 90.07 90.00
Space group Pm (No. 6)
Inequivalent atoms, fractional coordinates:
1 Li 0.000 0.000 0.000 x1
2 Fe 0.104 0.000 0.464 x1
3 Fe 0.125 0.500 0.778 x1
4 Fe 0.288 0.000 0.983 x1
5 Fe 0.304 0.500 0.299 x1
6 Fe 0.606 0.500 0.967 x1
7 Fe 0.621 0.000 0.281 x1
8 Fe 0.787 0.500 0.481 x1
9 Fe 0.804 0.000 0.795 x1
10 O 0.107 0.500 0.339 x1
11 O 0.116 0.500 0.588 x1
12 O 0.144 0.500 0.980 x1
13 O 0.248 0.000 0.788 x1
14 O 0.290 0.000 0.176 x1
15 O 0.301 0.000 0.421 x1
16 O 0.410 0.500 0.970 x1
17 O 0.497 0.500 0.293 x1
18 O 0.614 0.000 0.843 x1
19 O 0.621 0.000 0.090 x1
20 O 0.663 0.000 0.476 x1
21 O 0.746 0.500 0.286 x1
22 O 0.792 0.500 0.673 x1
23 O 0.814 0.500 0.926 x1
24 O 0.910 0.000 0.467 x1
25 O 0.999 0.000 0.798 x1

Computed properties:
**Calculated density**: 3.83 g cm⁻³
**Size of the total moment**: 33.0 μB/f.u.

***

Run 2
# LiFe8O16

LiFe8O16 after structural relaxation (GGA+U, the Materials Project).

Lattice parameters (Å, degrees): 10.364 2.957 10.448 90.00 90.16 90.00
Space group P2 (No. 3)
Inequivalent atoms, fractional coordinates:
1 Li 0.000 0.000 0.000 x1
2 Fe 0.163 0.716 0.831 x2
3 Fe 0.171 0.236 0.162 x2
4 Fe 0.332 0.728 0.359 x2
5 Fe 0.357 0.223 0.667 x2
6 O 0.041 0.730 0.159 x2
7 O 0.164 0.219 0.713 x2
8 O 0.165 0.221 0.959 x2
9 O 0.210 0.230 0.355 x2
10 O 0.291 0.732 0.167 x2
11 O 0.341 0.725 0.548 x2
12 O 0.357 0.722 0.788 x2
13 O 0.453 0.227 0.345 x2

Computed properties:
**Calculated density**: 3.68 g cm⁻³
**Size of the total moment**: 33.0 μB/f.u.

***

Q: Which of them is the most stable? A: run 1.